This record from the Materials Project database describes an optimized crystal structure of AlCrFe2. The functional is r2SCAN.

abc: 3.977 3.977 3.977
angles: 60.00 60.00 60.00
Fractional positions:
Al1 0.000 0.000 0.000
Cr1 0.500 0.500 0.500
Fe1 0.250 0.250 0.250
Fe2 0.750 0.750 0.750

Summary:
Crystal system: cubic
Formation enthalpy at 0 K: 0.0802 eV/atom

This record from the Materials Project database describes an optimized crystal structure of LaAl20Cr2. The functional is r2SCAN.

abc: 10.203 10.203 10.203
angles: 60.00 60.00 60.00
Fractional positions:
La1 0.500 0.500 0.500
La2 0.750 0.750 0.750
Al1 0.864 0.864 0.136
Al2 0.136 0.136 0.864
Al3 0.864 0.136 0.864
Al4 0.136 0.864 0.136
Al5 0.136 0.864 0.864
Al6 0.864 0.136 0.136
Al7 0.386 0.386 0.114
Al8 0.114 0.114 0.386
Al9 0.386 0.114 0.386
Al10 0.114 0.386 0.114
Al11 0.114 0.386 0.386
Al12 0.386 0.114 0.114
Al13 0.568 0.297 0.297
Al14 0.297 0.568 0.837
Al15 0.297 0.837 0.568
Al16 0.837 0.297 0.297
Al17 0.297 0.297 0.568
Al18 0.568 0.837 0.297
Al19 0.837 0.568 0.297
Al20 0.297 0.297 0.837
Al21 0.297 0.568 0.297
Al22 0.837 0.297 0.568
Al23 0.568 0.297 0.837
Al24 0.297 0.837 0.297
Al25 0.682 0.953 0.953
Al26 0.953 0.682 0.413
Al27 0.953 0.413 0.682
Al28 0.413 0.953 0.953
Al29 0.953 0.953 0.682
Al30 0.682 0.413 0.953
Al31 0.413 0.682 0.953
Al32 0.953 0.953 0.413
Al33 0.953 0.682 0.953
Al34 0.413 0.953 0.682
Al35 0.682 0.953 0.413
Al36 0.953 0.413 0.953
Al37 0.125 0.625 0.625
Al38 0.625 0.125 0.625
Al39 0.625 0.625 0.125
Al40 0.625 0.625 0.625
Cr1 0.625 0.125 0.125
Cr2 0.125 0.625 0.125
Cr3 0.125 0.125 0.625
Cr4 0.125 0.125 0.125

Summary:
Crystal system: cubic
Formation enthalpy at 0 K: -0.1560 eV/atom

This record from the Materials Project database describes an optimized crystal structure of Mg3Al18Cr2. The functional is r2SCAN.

abc: 10.177 10.177 10.177
angles: 60.00 60.00 60.00
Fractional positions:
Mg1 0.125 0.125 0.125
Mg2 0.625 0.125 0.125
Mg3 0.125 0.125 0.625
Mg4 0.125 0.625 0.125
Mg5 0.000 0.000 0.000
Mg6 0.250 0.250 0.250
Al1 0.451 0.183 0.451
Al2 0.613 0.887 0.887
Al3 0.887 0.613 0.613
Al4 0.887 0.613 0.887
Al5 0.363 0.363 0.637
Al6 0.613 0.613 0.887
Al7 0.451 0.183 0.915
Al8 0.799 0.799 0.067
Al9 0.067 0.335 0.799
Al10 0.799 0.335 0.799
Al11 0.335 0.799 0.067
Al12 0.335 0.799 0.799
Al13 0.067 0.799 0.799
Al14 0.915 0.183 0.451
Al15 0.183 0.915 0.451
Al16 0.183 0.451 0.915
Al17 0.451 0.451 0.915
Al18 0.451 0.915 0.451
Al19 0.915 0.451 0.183
Al20 0.451 0.451 0.183
Al21 0.637 0.363 0.637
Al22 0.067 0.799 0.335
Al23 0.799 0.799 0.335
Al24 0.799 0.335 0.067
Al25 0.799 0.067 0.335
Al26 0.335 0.067 0.799
Al27 0.799 0.067 0.799
Al28 0.915 0.451 0.451
Al29 0.183 0.451 0.451
Al30 0.451 0.915 0.183
Al31 0.887 0.887 0.613
Al32 0.637 0.363 0.363
Al33 0.363 0.637 0.637
Al34 0.637 0.637 0.363
Al35 0.363 0.637 0.363
Al36 0.613 0.887 0.613
Cr1 0.625 0.625 0.625
Cr2 0.125 0.625 0.625
Cr3 0.625 0.625 0.125
Cr4 0.625 0.125 0.625

Summary:
Crystal system: cubic
Formation enthalpy at 0 K: -0.0943 eV/atom

This record from the Materials Project database describes an optimized crystal structure of MnAl2Cr3. The functional is r2SCAN.

abc: 3.053 3.053 8.811
angles: 90.00 90.00 90.00
Fractional positions:
Mn1 0.500 0.500 0.171
Al1 0.000 0.000 0.000
Al2 0.500 0.500 0.502
Cr1 0.000 0.000 0.675
Cr2 0.000 0.000 0.327
Cr3 0.500 0.500 0.825

Summary:
Crystal system: tetragonal
Formation enthalpy at 0 K: -0.1732 eV/atom

This record from the Materials Project database describes an optimized crystal structure of AlCr6Si. The functional is r2SCAN.

abc: 4.522 4.522 4.522
angles: 90.00 90.00 90.00
Fractional positions:
Al1 0.500 0.500 0.500
Cr1 0.000 0.500 0.755
Cr2 0.500 0.245 0.000
Cr3 0.755 0.000 0.500
Cr4 0.000 0.500 0.245
Cr5 0.500 0.755 0.000
Cr6 0.245 0.000 0.500
Si1 0.000 0.000 0.000

Summary:
Crystal system: cubic
Formation enthalpy at 0 K: -0.0087 eV/atom

This record from the Materials Project database describes an optimized crystal structure of CsAlF4. The functional is r2SCAN.

abc: 6.730 10.578 17.532
angles: 90.00 90.00 90.00
Fractional positions:
Cs1 0.250 0.380 0.957
Cs2 0.250 0.691 0.318
Cs3 0.750 0.620 0.043
Cs4 0.750 0.928 0.225
Cs5 0.750 0.428 0.275
Cs6 0.750 0.809 0.818
Cs7 0.250 0.072 0.775
Cs8 0.250 0.880 0.543
Cs9 0.250 0.191 0.182
Cs10 0.750 0.120 0.457
Cs11 0.250 0.572 0.725
Cs12 0.750 0.309 0.682
Al1 0.250 0.240 0.576
Al2 0.750 0.700 0.627
Al3 0.750 0.260 0.076
Al4 0.250 0.800 0.127
Al5 0.250 0.740 0.924
Al6 0.750 0.760 0.424
Al7 0.250 0.300 0.373
Al8 0.500 0.000 0.000
Al9 0.750 0.200 0.873
Al10 0.500 0.500 0.500
Al11 0.000 0.500 0.500
Al12 0.000 0.000 0.000
F1 0.062 0.412 0.416
F2 0.562 0.088 0.916
F3 0.562 0.632 0.442
F4 0.948 0.293 0.840
F5 0.056 0.131 0.586
F6 0.750 0.711 0.328
F7 0.448 0.707 0.160
F8 0.062 0.368 0.558
F9 0.250 0.402 0.293
F10 0.750 0.278 0.969
F11 0.250 0.289 0.672
F12 0.438 0.412 0.416
F13 0.052 0.707 0.160
F14 0.250 0.222 0.469
F15 0.938 0.132 0.058
F16 0.250 0.561 0.507
F17 0.250 0.789 0.828
F18 0.556 0.369 0.086
F19 0.438 0.868 0.942
F20 0.556 0.869 0.414
F21 0.056 0.631 0.914
F22 0.438 0.912 0.084
F23 0.562 0.132 0.058
F24 0.948 0.793 0.660
F25 0.750 0.778 0.531
F26 0.938 0.088 0.916
F27 0.444 0.631 0.914
F28 0.438 0.368 0.558
F29 0.562 0.588 0.584
F30 0.944 0.369 0.086
F31 0.944 0.869 0.414
F32 0.250 0.902 0.207
F33 0.750 0.439 0.493
F34 0.062 0.912 0.084
F35 0.938 0.588 0.584
F36 0.062 0.868 0.942
F37 0.750 0.598 0.707
F38 0.448 0.207 0.340
F39 0.250 0.722 0.031
F40 0.444 0.131 0.586
F41 0.750 0.098 0.793
F42 0.750 0.211 0.172
F43 0.250 0.061 0.993
F44 0.938 0.632 0.442
F45 0.052 0.207 0.340
F46 0.552 0.293 0.840
F47 0.750 0.939 0.007
F48 0.552 0.793 0.660

Summary:
Crystal system: orthorhombic
Formation enthalpy at 0 K: -3.6327 eV/atom

This record from the Materials Project database describes an optimized crystal structure of Cs3AlF6. The functional is r2SCAN.

abc: 6.541 6.541 6.541
angles: 60.00 60.00 60.00
Fractional positions:
Cs1 0.250 0.250 0.250
Cs2 0.750 0.750 0.750
Cs3 0.500 0.500 0.500
Al1 0.000 0.000 0.000
F1 0.197 0.803 0.197
F2 0.803 0.803 0.197
F3 0.803 0.197 0.803
F4 0.803 0.197 0.197
F5 0.197 0.803 0.803
F6 0.197 0.197 0.803

Summary:
Crystal system: cubic
Formation enthalpy at 0 K: -3.3908 eV/atom

This record from the Materials Project database describes an optimized crystal structure of CsAlF4. The functional is r2SCAN.

abc: 9.436 9.436 3.707
angles: 90.00 90.00 120.00
Fractional positions:
Cs1 0.000 0.570 0.500
Cs2 0.430 0.430 0.500
Cs3 0.570 0.000 0.500
Al1 0.218 0.000 0.000
Al2 0.782 0.782 0.000
Al3 0.000 0.218 0.000
F1 0.210 0.000 0.500
F2 0.000 0.210 0.500
F3 0.423 0.158 0.000
F4 0.000 0.845 0.000
F5 0.845 0.000 0.000
F6 0.158 0.423 0.000
F7 0.735 0.577 0.000
F8 0.842 0.265 0.000
F9 0.790 0.790 0.500
F10 0.577 0.735 0.000
F11 0.265 0.842 0.000
F12 0.155 0.155 0.000

Summary:
Crystal system: hexagonal
Formation enthalpy at 0 K: -3.6382 eV/atom

This record from the Materials Project database describes an optimized crystal structure of Cs3AlGe2O7. The functional is r2SCAN.

abc: 9.898 9.898 7.658
angles: 73.06 73.06 121.53
Fractional positions:
Cs1 0.591 0.983 0.731
Cs2 0.012 0.988 0.750
Cs3 0.983 0.591 0.231
Cs4 0.988 0.012 0.250
Cs5 0.017 0.409 0.769
Cs6 0.409 0.017 0.269
Al1 0.442 0.558 0.750
Al2 0.558 0.442 0.250
Ge1 0.762 0.563 0.761
Ge2 0.437 0.238 0.739
Ge3 0.563 0.762 0.261
Ge4 0.238 0.437 0.239
O1 0.656 0.660 0.734
O2 0.660 0.656 0.234
O3 0.521 0.278 0.475
O4 0.340 0.344 0.766
O5 0.003 0.276 0.439
O6 0.479 0.722 0.525
O7 0.276 0.003 0.939
O8 0.278 0.521 0.975
O9 0.355 0.645 0.250
O10 0.344 0.340 0.266
O11 0.724 0.997 0.061
O12 0.645 0.355 0.750
O13 0.997 0.724 0.561
O14 0.722 0.479 0.025

Summary:
Crystal system: monoclinic
Formation enthalpy at 0 K: -2.2396 eV/atom

> Number 5 is which compound?

AlCr6Si

> Among the records above, which one has the highest formation enthalpy at 0 K?

AlCrFe2

> Look up the formation enthalpy at 0 K of the fourth one.

-0.1732 eV/atom